Entry 1:
Li8Co5O10 | PBE+U | relaxed

Calculated values
The space group is No. 8.

Cell: 5.3654 5.3654 14.3352 Å, 74.68 74.68 39.17°
Fractional positions:
Li 0.7877 0.7877 0.3417
Li 0.2139 0.2139 0.4634
Li 0.2278 0.2278 0.2431
Li 0.2233 0.2233 0.0664
Li 0.7889 0.7889 0.9467
Li 0.7778 0.7778 0.7301
Li 0.7776 0.7776 0.5580
Li 0.2120 0.2120 0.8532
Co 0.5003 0.5003 0.8006
Co 0.4937 0.4937 0.6054
Co 0.5025 0.5025 0.3994
Co 0.5016 0.5016 0.0022
Co 0.5079 0.5079 0.1983
O 0.3757 0.3757 0.1210
O 0.6276 0.6276 0.6726
O 0.6363 0.6363 0.4750
O 0.6393 0.6393 0.2771
O 0.3660 0.3660 0.9343
O 0.6368 0.6368 0.0657
O 0.3564 0.3564 0.7314
O 0.3700 0.3700 0.5242
O 0.3628 0.3628 0.3296
O 0.6366 0.6366 0.8799


Entry 2:
Li6Co3P8O29 | PBE+U | relaxed

Calculated values
The space group is No. 1.

Cell: 9.8791 9.8940 13.9340 Å, 89.66 89.50 60.44°
Fractional positions:
Li 0.2268 0.0933 0.5621
Li 0.0917 0.6831 0.5652
Li 0.7668 0.3261 0.9365
Li 0.6738 0.0933 0.0651
Li 0.9097 0.3184 0.4339
Li 0.6825 0.2264 0.5606
Li 0.3244 0.9091 0.9351
Li 0.9999 0.9969 0.0009
Li 0.6701 0.6692 0.6198
Li 0.6751 0.6710 0.1214
Li 0.2309 0.6694 0.0601
Li 0.3149 0.7733 0.4370
Co 0.0022 0.4297 0.2459
Co 0.5686 0.4319 0.7502
Co 0.9960 0.5672 0.7591
Co 0.4352 0.5639 0.2516
Co 0.5724 0.9962 0.2565
Co 0.4343 0.0012 0.7545
P 0.6664 0.6595 0.3719
P 0.3298 0.3337 0.6311
P 0.6627 0.6663 0.8746
P 0.3225 0.9030 0.1592
P 0.6858 0.0873 0.8452
P 0.0896 0.6753 0.3393
P 0.7712 0.3239 0.1580
P 0.3415 0.3335 0.1308
P 0.2293 0.6822 0.8400
P 0.6755 0.2352 0.3412
P 0.7738 0.9085 0.6611
P 0.9106 0.7787 0.1580
P 0.0838 0.2230 0.8407
P 0.3276 0.7681 0.6568
P 0.2325 0.0875 0.3406
P 0.9095 0.3242 0.6545
O 0.6300 0.8850 0.6742
O 0.7859 0.2184 0.2505
O 0.0004 0.2518 0.5633
O 0.2154 0.7882 0.7476
O 0.1832 0.4853 0.6646
O 0.6514 0.6713 0.4817
O 0.5085 0.8088 0.8408
O 0.6713 0.8024 0.3298
O 0.6586 0.0904 0.3423
O 0.7478 0.3338 0.6548
O 0.5081 0.6691 0.3383
O 0.5136 0.3834 0.3228
O 0.7474 0.2562 0.4313
O 0.2149 0.9945 0.2496
O 0.2502 0.0815 0.8407
O 0.7964 0.9894 0.7561
O 0.3375 0.7372 0.1620
O 0.4843 0.8879 0.1674
O 0.6672 0.2520 0.8370
O 0.2332 0.9743 0.0669
O 0.0058 0.2092 0.7412
O 0.4948 0.1900 0.1587
O 0.7659 0.2370 0.0696
O 0.4822 0.3287 0.6620
O 0.3811 0.5271 0.8278
O 0.6262 0.4873 0.1711
O 0.7446 0.9234 0.1609
O 0.6720 0.6622 0.9845
O 0.6787 0.5094 0.8404
O 0.9910 0.2087 0.9229
O 0.9199 0.7461 0.6571
O 0.0207 0.7473 0.4363
O 0.4923 0.6284 0.6745
O 0.8030 0.6810 0.8339
O 0.0851 0.3779 0.8332
O 0.2258 0.7714 0.9297
O 0.9157 0.3449 0.1590
O 0.8851 0.4889 0.6746
O 0.0073 0.7892 0.0769
O 0.0837 0.2462 0.3396
O 0.3310 0.4908 0.1618
O 0.2460 0.9961 0.4311
O 0.5282 0.0910 0.8302
O 0.2530 0.6644 0.3382
O 0.3205 0.3477 0.5194
O 0.3253 0.1864 0.6630
O 0.8109 0.5074 0.3395
O 0.3806 0.1000 0.3211
O 0.7670 0.0141 0.9379
O 0.3379 0.9193 0.6562
O 0.0980 0.5188 0.3206
O 0.2007 0.3190 0.1678
O 0.2512 0.7497 0.5680
O 0.3171 0.3540 0.0204
O 0.7564 0.0100 0.5756
O 0.9908 0.7940 0.2563
O 0.0850 0.6618 0.8366
O 0.8951 0.6315 0.1650


Entry 3:
LiCoP3O9 | PBE+U | relaxed

Calculated values
The space group is No. 19.

Cell: 8.4629 8.6425 8.7632 Å, 90.00 90.00 90.00°
Fractional positions:
Li 0.1523 0.1350 0.3846
Li 0.8477 0.6350 0.1154
Li 0.6523 0.3650 0.6154
Li 0.3477 0.8650 0.8846
Co 0.8713 0.3551 0.3404
Co 0.6287 0.6449 0.8404
Co 0.3713 0.1449 0.6596
Co 0.1287 0.8551 0.1596
P 0.6861 0.0210 0.8111
P 0.7022 0.6904 0.4396
P 0.7978 0.3096 0.9396
P 0.8139 0.9790 0.3111
P 0.0297 0.3208 0.6826
P 0.1861 0.4790 0.1889
P 0.2022 0.8096 0.5604
P 0.2978 0.1904 0.0604
P 0.9703 0.8208 0.8174
P 0.4703 0.6792 0.1826
P 0.5297 0.1792 0.3174
P 0.3139 0.5210 0.6889
O 0.6028 0.6275 0.0806
O 0.8972 0.3725 0.5806
O 0.9095 0.1136 0.3683
O 0.9597 0.2744 0.8465
O 0.0403 0.7744 0.6535
O 0.0905 0.6136 0.1317
O 0.1028 0.8725 0.9194
O 0.1184 0.3843 0.3183
O 0.1335 0.1926 0.6236
O 0.1394 0.4646 0.7358
O 0.1591 0.8624 0.4033
O 0.1896 0.0916 0.1558
O 0.2260 0.3637 0.0483
O 0.2740 0.6363 0.5483
O 0.3104 0.9084 0.6558
O 0.3409 0.1376 0.9033
O 0.3606 0.5354 0.2358
O 0.3665 0.8074 0.1236
O 0.3816 0.6157 0.8183
O 0.3972 0.1275 0.4194
O 0.4095 0.3864 0.6317
O 0.8665 0.6926 0.8764
O 0.5403 0.7256 0.3465
O 0.5905 0.8864 0.8683
O 0.4597 0.2256 0.1535
O 0.6184 0.1157 0.6817
O 0.6335 0.3074 0.3764
O 0.6394 0.0354 0.2642
O 0.6591 0.6376 0.5967
O 0.6896 0.4084 0.8442
O 0.7260 0.1363 0.9517
O 0.7740 0.8637 0.4517
O 0.8104 0.5916 0.3442
O 0.8409 0.3624 0.0967
O 0.8606 0.9646 0.7642
O 0.8816 0.8843 0.1817


Entry 4:
Li2CoP2O7 | PBE+U | relaxed

Calculated values
The space group is No. 1.

Cell: 5.1704 7.2274 8.2239 Å, 66.01 93.64 97.96°
Fractional positions:
Li 0.7089 0.1743 0.4311
Li 0.2917 0.8212 0.5655
Li 0.2991 0.8687 0.9943
Li 0.7003 0.1341 0.0077
Co 0.8163 0.7320 0.2737
Co 0.1743 0.2664 0.7218
P 0.7313 0.5429 0.6970
P 0.2700 0.4578 0.3032
P 0.7765 0.8626 0.8243
P 0.2235 0.1383 0.1759
O 0.1731 0.6690 0.2206
O 0.8318 0.3329 0.7832
O 0.8958 0.6920 0.5366
O 0.1055 0.3071 0.4626
O 0.9364 0.0425 0.2076
O 0.0645 0.9567 0.7945
O 0.4357 0.5297 0.6616
O 0.5664 0.4673 0.3392
O 0.5966 0.9615 0.6692
O 0.4049 0.0400 0.3304
O 0.2174 0.3747 0.1458
O 0.7816 0.6268 0.8543
O 0.3246 0.1511 0.9980
O 0.6738 0.8504 0.0021


Entry 5:
LiCoP2O7 | PBE+U | relaxed

Calculated values
The space group is No. 14.

Cell: 8.1302 6.7506 9.4325 Å, 71.85 90.00 90.00°
Fractional positions:
Li 0.8882 0.8026 0.5433
Li 0.1118 0.1974 0.4567
Li 0.3882 0.1974 0.9567
Li 0.6118 0.8026 0.0433
Co 0.7777 0.2817 0.9992
Co 0.7223 0.2817 0.4992
Co 0.2777 0.7183 0.5008
Co 0.2223 0.7183 0.0008
P 0.0870 0.4635 0.7945
P 0.9130 0.5365 0.2055
P 0.4130 0.4635 0.2945
P 0.9656 0.0494 0.7882
P 0.4656 0.9506 0.7118
P 0.0344 0.9506 0.2118
P 0.5344 0.0494 0.2882
P 0.5870 0.5365 0.7055
O 0.4091 0.6148 0.1326
O 0.6771 0.0612 0.3905
O 0.9314 0.1491 0.1468
O 0.5830 0.0695 0.1264
O 0.4170 0.9305 0.8736
O 0.0686 0.8509 0.8532
O 0.3229 0.9388 0.6095
O 0.6001 0.7682 0.7221
O 0.0830 0.9305 0.3736
O 0.4314 0.8509 0.3532
O 0.1771 0.9388 0.1095
O 0.0909 0.6148 0.6326
O 0.2348 0.4784 0.8911
O 0.8999 0.7682 0.2221
O 0.9207 0.4816 0.8636
O 0.9170 0.0695 0.6264
O 0.7348 0.5216 0.6089
O 0.5909 0.3852 0.8674
O 0.4207 0.5184 0.6364
O 0.2652 0.4784 0.3911
O 0.5793 0.4816 0.3636
O 0.0793 0.5184 0.1364
O 0.1001 0.2318 0.7779
O 0.7652 0.5216 0.1089
O 0.9091 0.3852 0.3674
O 0.8229 0.0612 0.8905
O 0.5686 0.1491 0.6468
O 0.3999 0.2318 0.2779


Entry 6:
Li2CoP2O7 | PBE+U | relaxed

Calculated values
The space group is No. 1.

Cell: 6.5310 9.2186 10.4054 Å, 113.85 87.76 106.60°
Fractional positions:
Li 0.3541 0.9260 0.3791
Li 0.0475 0.2058 0.5119
Li 0.1666 0.4849 0.0353
Li 0.5921 0.5095 0.9704
Li 0.1726 0.1125 0.1328
Li 0.6409 0.0746 0.6206
Li 0.9355 0.8268 0.5031
Li 0.8703 0.8925 0.8942
Co 0.6259 0.4889 0.2512
Co 0.3635 0.5037 0.7392
Co 0.2869 0.8947 0.7789
Co 0.7196 0.0976 0.2164
P 0.8741 0.5450 0.6978
P 0.3128 0.8020 0.0525
P 0.5616 0.2908 0.4619
P 0.0804 0.1802 0.7942
P 0.6939 0.1892 0.9459
P 0.9240 0.8085 0.1996
P 0.4332 0.7050 0.5321
P 0.1146 0.4422 0.2981
O 0.6933 0.5286 0.7945
O 0.6134 0.3324 0.0396
O 0.2840 0.3223 0.8190
O 0.0241 0.2630 0.2873
O 0.4489 0.9101 0.1935
O 0.0848 0.7092 0.0963
O 0.9621 0.0915 0.6454
O 0.7383 0.0804 0.0139
O 0.9073 0.9320 0.1386
O 0.9749 0.7273 0.7213
O 0.2378 0.5410 0.4550
O 0.5443 0.2752 0.3077
O 0.3606 0.3100 0.5379
O 0.5616 0.0822 0.8035
O 0.1065 0.0568 0.8516
O 0.3845 0.6520 0.9588
O 0.9274 0.2800 0.9051
O 0.7551 0.4568 0.5382
O 0.3693 0.8569 0.5385
O 0.2873 0.4515 0.1936
O 0.7155 0.6707 0.1736
O 0.9503 0.5261 0.2911
O 0.6327 0.6853 0.4543
O 0.0359 0.8972 0.3495
O 0.4467 0.7138 0.6841
O 0.2687 0.9089 0.9830
O 0.0342 0.4518 0.6942
O 0.6292 0.1421 0.4604


Entry 7:
Li3Co2P3O12 | PBE+U | relaxed

Calculated values
The space group is No. 14.

Cell: 8.7175 8.7163 12.1380 Å, 88.67 90.00 90.00°
Fractional positions:
Li 0.0711 0.9229 0.7043
Li 0.9289 0.0771 0.2957
Li 0.3020 0.0846 0.2419
Li 0.2250 0.2089 0.8210
Li 0.7250 0.2911 0.6790
Li 0.8020 0.4154 0.2581
Li 0.4289 0.4229 0.2043
Li 0.5711 0.5771 0.7957
Li 0.1980 0.5846 0.7419
Li 0.6980 0.9154 0.7581
Li 0.7750 0.7911 0.1790
Li 0.2750 0.7089 0.3210
Co 0.4732 0.2454 0.3970
Co 0.9732 0.2546 0.1030
Co 0.5410 0.2444 0.8933
Co 0.0410 0.2556 0.6067
Co 0.9590 0.7444 0.3933
Co 0.4590 0.7556 0.1067
Co 0.0268 0.7454 0.8970
Co 0.5268 0.7546 0.6030
P 0.8819 0.6047 0.6479
P 0.6020 0.6031 0.3495
P 0.7450 0.5371 0.0065
P 0.2550 0.4629 0.9935
P 0.3980 0.3969 0.6505
P 0.1181 0.3953 0.3521
P 0.8980 0.1031 0.8495
P 0.6181 0.1047 0.1479
P 0.2450 0.9629 0.4935
P 0.3819 0.8953 0.8521
P 0.1020 0.8969 0.1505
P 0.7550 0.0371 0.5065
O 0.1689 0.8258 0.4355
O 0.7843 0.1463 0.1811
O 0.5943 0.1495 0.0233
O 0.6229 0.1046 0.4326
O 0.4028 0.0695 0.8351
O 0.3106 0.0714 0.4035
O 0.1060 0.0766 0.1547
O 0.1341 0.0414 0.5731
O 0.8659 0.9586 0.4269
O 0.8940 0.9234 0.8453
O 0.6894 0.9286 0.5965
O 0.5972 0.9305 0.1649
O 0.3771 0.8954 0.5674
O 0.4057 0.8505 0.9767
O 0.2157 0.8537 0.8189
O 0.9790 0.8473 0.2383
O 0.2644 0.8463 0.1890
O 0.0210 0.1527 0.7617
O 0.0537 0.8366 0.0394
O 0.5046 0.8055 0.7872
O 0.0046 0.6945 0.7128
O 0.5537 0.6634 0.4606
O 0.6689 0.6742 0.0645
O 0.7644 0.6537 0.3110
O 0.7157 0.6463 0.6811
O 0.9057 0.6495 0.5233
O 0.4790 0.6527 0.2617
O 0.8771 0.6046 0.9326
O 0.1894 0.5714 0.9035
O 0.3940 0.5766 0.6547
O 0.0972 0.5695 0.3351
O 0.3659 0.5414 0.0731
O 0.6341 0.4586 0.9269
O 0.9028 0.4305 0.6649
O 0.6060 0.4234 0.3453
O 0.8106 0.4286 0.0965
O 0.1229 0.3954 0.0674
O 0.5210 0.3473 0.7383
O 0.0943 0.3505 0.4767
O 0.2843 0.3537 0.3189
O 0.7356 0.1537 0.8110
O 0.3311 0.3258 0.9355
O 0.4463 0.3366 0.5394
O 0.9954 0.3055 0.2872
O 0.4954 0.1945 0.2128
O 0.9463 0.1635 0.9606
O 0.8311 0.1742 0.5645
O 0.2356 0.3463 0.6890


Table of distance to the lowest polymorph of the same formula (eV per atom), in record order: 0.073 0.000 0.000 0.004 0.016 0.022 0.000
Table of ΔH_f (0 K) (eV per atom), in record order: -1.64 -2.33 -2.50 -2.51 -2.34 -2.49 -2.34